Record 1
Zn3TeAs2Pb3O14 | PBE-GGA | relaxed

Unit cell a=8.6890 b=8.6890 c=5.3282 alpha=90.00 beta=90.00 gamma=120.00
Last column: nearest neighbours and their distance in Å.
Atoms (fractional coordinates):
Zn 0.0000 0.2413 0.0000  4 O 1.96-2.02
Zn 0.2413 0.0000 0.0000  4 O 1.96-2.02
Zn 0.7587 0.7587 0.0000  4 O 1.96-2.02
Te 0.0000 0.0000 0.5000  6 O 1.96
As 0.3333 0.6667 0.0395  4 O 1.71-1.73
As 0.6667 0.3333 0.9605  4 O 1.71-1.73
Pb 0.0000 0.6025 0.5000  2 O 2.39
Pb 0.3975 0.3975 0.5000  2 O 2.39
Pb 0.6025 0.0000 0.5000  2 O 2.39
O 0.0891 0.8773 0.7110  1 Te 1.96, 1 Zn 1.96
O 0.1227 0.2118 0.7110  1 Te 1.96, 1 Zn 1.96
O 0.1937 0.4597 0.1701  1 As 1.73
O 0.2118 0.1227 0.2890  1 Te 1.96, 1 Zn 1.96
O 0.2660 0.8063 0.1701  1 As 1.73
O 0.3333 0.6667 0.7190  1 As 1.71
O 0.4597 0.1937 0.8299  1 As 1.73
O 0.5403 0.7340 0.1701  1 As 1.73
O 0.6667 0.3333 0.2810  1 As 1.71
O 0.7340 0.5403 0.8299  1 As 1.73
O 0.7882 0.9109 0.7110  1 Te 1.96, 1 Zn 1.96
O 0.8063 0.2660 0.8299  1 As 1.73
O 0.8773 0.0891 0.2890  1 Te 1.96, 1 Zn 1.96
O 0.9109 0.7882 0.2890  1 Te 1.96, 1 Zn 1.96

Record 2
TiAs2Pb2O9 | PBE-GGA | relaxed

Unit cell a=7.0120 b=16.7575 c=7.4209 alpha=90.00 beta=114.63 gamma=90.00
Last column: nearest neighbours and their distance in Å.
Atoms (fractional coordinates):
Ti 0.2435 0.2447 0.2198  1 O 1.75
Ti 0.2435 0.2553 0.7198  1 O 1.75
Ti 0.7565 0.7447 0.2802  1 O 1.75
Ti 0.7565 0.7553 0.7802  1 O 1.75
As 0.2392 0.0781 0.4883  4 O 1.69-1.76
As 0.2392 0.4219 0.9883  4 O 1.69-1.76
As 0.2554 0.6618 0.5188  4 O 1.72-1.75
As 0.2554 0.8382 0.0188  4 O 1.72-1.75
As 0.7446 0.1618 0.9812  4 O 1.72-1.75
As 0.7446 0.3382 0.4812  4 O 1.72-1.75
As 0.7608 0.5781 0.0117  4 O 1.69-1.76
As 0.7608 0.9219 0.5117  4 O 1.69-1.76
Pb 0.2292 0.0545 0.9624  5 O 2.57-2.66
Pb 0.2292 0.4455 0.4624  5 O 2.57-2.66
Pb 0.2630 0.6204 0.0461  3 O 2.47-2.53
Pb 0.2630 0.8796 0.5461  3 O 2.47-2.53
Pb 0.7370 0.1204 0.4539  3 O 2.47-2.53
Pb 0.7370 0.3796 0.9539  3 O 2.47-2.53
Pb 0.7708 0.5545 0.5376  5 O 2.57-2.66
Pb 0.7708 0.9455 0.0376  5 O 2.57-2.66
O 0.0203 0.0332 0.3212  1 As 1.69
O 0.0203 0.4668 0.8212  1 As 1.69
O 0.0565 0.7189 0.3410  1 As 1.75
O 0.0565 0.7811 0.8410  1 As 1.75
O 0.1534 0.6003 0.6426  1 As 1.72
O 0.1534 0.8997 0.1426  1 As 1.72
O 0.1669 0.1404 0.6411  1 As 1.76
O 0.1669 0.3596 0.1411  1 As 1.76
O 0.2412 0.2118 0.9950  1 Ti 1.75
O 0.2412 0.2882 0.4950  1 Ti 1.75
O 0.3483 0.1371 0.3615  1 As 1.75
O 0.3483 0.3629 0.8615  1 As 1.75
O 0.3780 0.6032 0.4068  1 As 1.73
O 0.3780 0.8968 0.9068  1 As 1.73
O 0.4139 0.0135 0.6513  1 As 1.70
O 0.4139 0.4865 0.1513  1 As 1.70
O 0.4378 0.7299 0.6726  1 As 1.74
O 0.4378 0.7701 0.1726  1 As 1.74
O 0.5622 0.2299 0.8274  1 As 1.74
O 0.5622 0.2701 0.3274  1 As 1.74
O 0.5861 0.5135 0.8487  1 As 1.70
O 0.5861 0.9865 0.3487  1 As 1.70
O 0.6220 0.1032 0.0932  1 As 1.73
O 0.6220 0.3968 0.5932  1 As 1.73
O 0.6517 0.6371 0.1385  1 As 1.75
O 0.6517 0.8629 0.6385  1 As 1.75
O 0.7588 0.7118 0.5050  1 Ti 1.75
O 0.7588 0.7882 0.0050  1 Ti 1.75
O 0.8331 0.6404 0.8589  1 As 1.76
O 0.8331 0.8596 0.3589  1 As 1.76
O 0.8466 0.1003 0.8574  1 As 1.72
O 0.8466 0.3997 0.3574  1 As 1.72
O 0.9435 0.2189 0.1590  1 As 1.75
O 0.9435 0.2811 0.6590  1 As 1.75
O 0.9797 0.5332 0.1788  1 As 1.69
O 0.9797 0.9668 0.6788  1 As 1.69

Record 3
Zn2As2PbO10 | PBE-GGA | relaxed

Unit cell a=5.4349 b=5.4349 c=7.6510 alpha=106.61 beta=106.61 gamma=76.25
Last column: nearest neighbours and their distance in Å.
Atoms (fractional coordinates):
Zn 0.0000 0.5000 0.0000  4 O 2.00-2.11
Zn 0.5000 0.0000 0.0000  4 O 2.00-2.11
As 0.0678 0.0678 0.2760  4 O 1.70-1.77
As 0.9322 0.9322 0.7240  4 O 1.70-1.77
Pb 0.5000 0.5000 0.5000  6 O 2.43-2.68
O 0.1562 0.7311 0.2409  1 As 1.74
O 0.1778 0.1778 0.1204  1 As 1.77
O 0.2151 0.2151 0.4970  1 As 1.70
O 0.2689 0.8438 0.7591  1 As 1.74
O 0.4213 0.4213 0.9496  1 O 1.29
O 0.5787 0.5787 0.0504  1 O 1.29
O 0.7311 0.1562 0.2409  1 As 1.74
O 0.7849 0.7849 0.5030  1 As 1.70
O 0.8222 0.8222 0.8796  1 As 1.77
O 0.8438 0.2689 0.7591  1 As 1.74

Record 4
As2PdO6 | PBE-GGA | relaxed

Unit cell a=4.9279 b=4.9279 c=4.7385 alpha=90.00 beta=90.00 gamma=120.00
Last column: nearest neighbours and their distance in Å.
Atoms (fractional coordinates):
As 0.3333 0.6667 0.0000  6 O 1.87
As 0.6667 0.3333 0.0000  6 O 1.87
Pd 0.0000 0.0000 0.5000  6 O 2.27
O 0.0000 0.3727 0.7811  2 As 1.87
O 0.0000 0.6273 0.2189  2 As 1.87
O 0.3727 0.0000 0.7811  2 As 1.87
O 0.3727 0.3727 0.2189  2 As 1.87
O 0.6273 0.0000 0.2189  2 As 1.87
O 0.6273 0.6273 0.7811  2 As 1.87

Record 5
PrAsO4 | PBE-GGA | relaxed

- Energy above the most stable polymorph in this dataset: 16.2 meV per atom

Unit cell a=6.9742 b=6.9742 c=6.9742 alpha=136.23 beta=136.23 gamma=63.62
Last column: nearest neighbours and their distance in Å.
Atoms (fractional coordinates):
Pr 0.3750 0.1250 0.2500  8 O 2.48-2.53
Pr 0.6250 0.8750 0.7500  8 O 2.48-2.53
As 0.1250 0.3750 0.7500  4 O 1.73
As 0.8750 0.6250 0.2500  4 O 1.73
O 0.0674 0.2041 0.3672  1 As 1.73
O 0.2002 0.5674 0.3632  1 As 1.73
O 0.2959 0.1630 0.8632  1 As 1.73
O 0.3370 0.7002 0.1328  1 As 1.73
O 0.6630 0.2998 0.8672  1 As 1.73
O 0.7041 0.8370 0.1368  1 As 1.73
O 0.7998 0.4326 0.6368  1 As 1.73
O 0.9326 0.7959 0.6328  1 As 1.73

Record 6
PrAsO4 | PBE-GGA | relaxed

- Energy above the most stable polymorph in this dataset: 0.0 meV per atom

Unit cell a=6.1873 b=6.1873 c=6.1873 alpha=106.33 beta=106.33 gamma=115.96
Last column: nearest neighbours and their distance in Å.
Atoms (fractional coordinates):
Pr 0.3750 0.6250 0.7500  8 O 2.45-2.54
Pr 0.6250 0.3750 0.2500  8 O 2.45-2.54
As 0.1250 0.8750 0.2500  4 O 1.72
As 0.8750 0.1250 0.7500  4 O 1.72
O 0.1343 0.7062 0.4282  1 As 1.72
O 0.2220 0.2938 0.9282  1 As 1.72
O 0.2938 0.2220 0.4282  1 As 1.72
O 0.2938 0.8657 0.0718  1 As 1.72
O 0.7062 0.1343 0.9282  1 As 1.72
O 0.7062 0.7780 0.5718  1 As 1.72
O 0.7780 0.7062 0.0718  1 As 1.72
O 0.8657 0.2938 0.5718  1 As 1.72

Record 7
PrZn2AsO2 | PBE-GGA | relaxed

Unit cell a=3.5987 b=3.5987 c=12.4805 alpha=90.00 beta=90.00 gamma=90.00
Last column: nearest neighbours and their distance in Å.
Atoms (fractional coordinates):
Pr 0.0000 0.0000 0.0000  2 O 2.20
Zn 0.0000 0.0000 0.3173  1 O 1.76
Zn 0.0000 0.0000 0.6827  1 O 1.76
As 0.0000 0.0000 0.5000  2 Zn 2.28
O 0.0000 0.0000 0.1764  1 Zn 1.76
O 0.0000 0.0000 0.8236  1 Zn 1.76

Record 8
RbAsO3 | PBE-GGA | relaxed

Unit cell a=3.9394 b=3.9394 c=3.9394 alpha=90.00 beta=90.00 gamma=90.00
Last column: nearest neighbours and their distance in Å.
Atoms (fractional coordinates):
Rb 0.0000 0.0000 0.0000  12 O 2.79
As 0.5000 0.5000 0.5000  6 O 1.97
O 0.0000 0.5000 0.5000  2 As 1.97
O 0.5000 0.0000 0.5000  2 As 1.97
O 0.5000 0.5000 0.0000  2 As 1.97

Record 9
Rb8AsO3 | PBE-GGA | relaxed

Unit cell a=7.3165 b=7.3165 c=7.3165 alpha=90.00 beta=90.00 gamma=90.00
Last column: nearest neighbours and their distance in Å.
Atoms (fractional coordinates):
Rb 0.2362 0.2362 0.2362  3 O 3.11, 1 As 3.34, 3 Rb 3.46
Rb 0.2362 0.2362 0.7638  3 O 3.11, 1 As 3.34, 3 Rb 3.46
Rb 0.2362 0.7638 0.2362  3 O 3.11, 1 As 3.34, 3 Rb 3.46
Rb 0.2362 0.7638 0.7638  3 O 3.11, 1 As 3.34, 3 Rb 3.46
Rb 0.7638 0.2362 0.2362  3 O 3.11, 1 As 3.34, 3 Rb 3.46
Rb 0.7638 0.2362 0.7638  3 O 3.11, 1 As 3.34, 3 Rb 3.46
Rb 0.7638 0.7638 0.2362  3 O 3.11, 1 As 3.34, 3 Rb 3.46
Rb 0.7638 0.7638 0.7638  3 O 3.11, 1 As 3.34, 3 Rb 3.46
As 0.5000 0.5000 0.5000  8 Rb 3.34
O 0.0000 0.0000 0.5000  8 Rb 3.11
O 0.0000 0.5000 0.0000  8 Rb 3.11
O 0.5000 0.0000 0.0000  8 Rb 3.11

Record 10
Rb2As2Se6O | PBE-GGA | relaxed

Unit cell a=11.6951 b=11.6951 c=12.2382 alpha=120.13 beta=120.13 gamma=28.20
Last column: nearest neighbours and their distance in Å.
Atoms (fractional coordinates):
Rb 0.0627 0.0950 0.4487  1 O 3.10
Rb 0.0950 0.0627 0.9487  1 O 3.10
Rb 0.9050 0.9373 0.0513  1 O 3.10
Rb 0.9373 0.9050 0.5513  1 O 3.10
As 0.2794 0.3599 0.7147  3 Se 2.44-2.48
As 0.3599 0.2794 0.2147  3 Se 2.44-2.48
As 0.6401 0.7206 0.7853  3 Se 2.44-2.48
As 0.7206 0.6401 0.2853  3 Se 2.44-2.48
Se 0.1522 0.2174 0.3134  1 Se 2.42, 1 As 2.45
Se 0.2174 0.1522 0.8134  1 Se 2.42, 1 As 2.45
Se 0.2897 0.3252 0.9048  1 Se 2.42, 1 As 2.48
Se 0.3252 0.2897 0.4048  1 Se 2.42, 1 As 2.48
Se 0.4240 0.4659 0.8226  1 O 2.04
Se 0.4659 0.4240 0.3226  1 O 2.04
Se 0.5341 0.5760 0.6774  1 O 2.04
Se 0.5760 0.5341 0.1774  1 O 2.04
Se 0.6748 0.7103 0.5952  1 Se 2.42, 1 As 2.48
Se 0.7103 0.6748 0.0952  1 Se 2.42, 1 As 2.48
Se 0.7826 0.8478 0.1866  1 Se 2.42, 1 As 2.45
Se 0.8478 0.7826 0.6866  1 Se 2.42, 1 As 2.45
O 0.3769 0.6231 0.2500  2 Se 2.04
O 0.6231 0.3769 0.7500  2 Se 2.04

Record 11
Rb12Sn2As6O | PBE-GGA | relaxed

Unit cell a=11.9802 b=11.9802 c=6.1237 alpha=90.00 beta=90.00 gamma=120.00
Last column: nearest neighbours and their distance in Å.
Atoms (fractional coordinates):
Rb 0.0866 0.5433 0.2494  4 Rb 3.54-3.92, 2 As 3.79
Rb 0.1160 0.2319 0.2712  1 O 2.78
Rb 0.1160 0.8840 0.2712  1 O 2.78
Rb 0.2319 0.1160 0.7288  1 O 2.78
Rb 0.4567 0.5433 0.2494  4 Rb 3.54-3.92, 2 As 3.79
Rb 0.4567 0.9134 0.2494  4 Rb 3.54-3.92, 2 As 3.79
Rb 0.5433 0.0866 0.7506  4 Rb 3.54-3.92, 2 As 3.79
Rb 0.5433 0.4567 0.7506  4 Rb 3.54-3.92, 2 As 3.79
Rb 0.7681 0.8840 0.2712  1 O 2.78
Rb 0.8840 0.1160 0.7288  1 O 2.78
Rb 0.8840 0.7681 0.7288  1 O 2.78
Rb 0.9134 0.4567 0.7506  4 Rb 3.54-3.92, 2 As 3.79
Sn 0.3333 0.6667 0.7512  3 As 2.57
Sn 0.6667 0.3333 0.2488  3 As 2.57
As 0.2094 0.4188 0.7520  1 Sn 2.57
As 0.2094 0.7906 0.7520  1 Sn 2.57
As 0.4188 0.2094 0.2480  1 Sn 2.57
As 0.5812 0.7906 0.7520  1 Sn 2.57
As 0.7906 0.2094 0.2480  1 Sn 2.57
As 0.7906 0.5812 0.2480  1 Sn 2.57
O 0.0000 0.0000 0.5000  6 Rb 2.78

Record 12
Rb2ThAs2O8 | PBE-GGA | relaxed

Unit cell a=8.1827 b=11.5982 c=10.2616 alpha=90.00 beta=116.90 gamma=90.00
Last column: nearest neighbours and their distance in Å.
Atoms (fractional coordinates):
Rb 0.1493 0.1253 0.0489  6 O 2.81-3.12
Rb 0.1493 0.3747 0.5489  6 O 2.81-3.12
Rb 0.3357 0.1149 0.4563  4 O 2.82-2.96
Rb 0.3357 0.3851 0.9563  4 O 2.82-2.96
Rb 0.6643 0.6149 0.0437  4 O 2.82-2.96
Rb 0.6643 0.8851 0.5437  4 O 2.82-2.96
Rb 0.8507 0.6253 0.4511  6 O 2.81-3.12
Rb 0.8507 0.8747 0.9511  6 O 2.81-3.12
Th 0.2562 0.6391 0.2789  8 O 2.38-2.55
Th 0.2562 0.8609 0.7789  8 O 2.38-2.55
Th 0.7438 0.1391 0.2211  8 O 2.38-2.55
Th 0.7438 0.3609 0.7211  8 O 2.38-2.55
As 0.0648 0.6386 0.8527  4 O 1.72-1.73
As 0.0648 0.8614 0.3527  4 O 1.72-1.73
As 0.4622 0.6321 0.6339  4 O 1.72-1.73
As 0.4622 0.8679 0.1339  4 O 1.72-1.73
As 0.5378 0.1321 0.8661  4 O 1.72-1.73
As 0.5378 0.3679 0.3661  4 O 1.72-1.73
As 0.9352 0.1386 0.6473  4 O 1.72-1.73
As 0.9352 0.3614 0.1473  4 O 1.72-1.73
O 0.0341 0.2399 0.2499  1 As 1.73
O 0.0341 0.2601 0.7499  1 As 1.73
O 0.0360 0.0142 0.7393  1 As 1.72
O 0.0360 0.4858 0.2393  1 As 1.72
O 0.0673 0.6426 0.0216  1 As 1.72
O 0.0673 0.8574 0.5216  1 As 1.72
O 0.2351 0.6062 0.5134  1 As 1.73
O 0.2351 0.8938 0.0134  1 As 1.73
O 0.2830 0.6535 0.8684  1 As 1.73
O 0.2830 0.8465 0.3684  1 As 1.73
O 0.4311 0.0184 0.7490  1 As 1.73
O 0.4311 0.4816 0.2490  1 As 1.73
O 0.4534 0.1451 0.9924  1 As 1.73
O 0.4534 0.3549 0.4924  1 As 1.73
O 0.4874 0.7421 0.2303  1 As 1.72
O 0.4874 0.7579 0.7303  1 As 1.72
O 0.5126 0.2421 0.2697  1 As 1.72
O 0.5126 0.2579 0.7697  1 As 1.72
O 0.5466 0.6451 0.5076  1 As 1.73
O 0.5466 0.8549 0.0076  1 As 1.73
O 0.5689 0.5184 0.7510  1 As 1.73
O 0.5689 0.9816 0.2510  1 As 1.73
O 0.7170 0.1535 0.6316  1 As 1.73
O 0.7170 0.3465 0.1316  1 As 1.73
O 0.7649 0.1062 0.9866  1 As 1.73
O 0.7649 0.3938 0.4866  1 As 1.73
O 0.9327 0.1426 0.4784  1 As 1.72
O 0.9327 0.3574 0.9784  1 As 1.72
O 0.9640 0.5142 0.7607  1 As 1.72
O 0.9640 0.9858 0.2607  1 As 1.72
O 0.9659 0.7399 0.2501  1 As 1.73
O 0.9659 0.7601 0.7501  1 As 1.73

Record 13
AsRhO4 | PBE-GGA | relaxed

Unit cell a=6.3326 b=6.4918 c=3.0549 alpha=90.00 beta=90.00 gamma=90.00
Last column: nearest neighbours and their distance in Å.
Atoms (fractional coordinates):
As 0.0000 0.0000 0.0000  6 O 1.85-1.94
As 0.5000 0.5000 0.0000  6 O 1.85-1.94
Rh 0.0000 0.5000 0.5000  6 O 2.02-2.05
Rh 0.5000 0.0000 0.5000  6 O 2.02-2.05
O 0.0000 0.1848 0.5000  2 As 1.94, 1 Rh 2.05
O 0.0000 0.8152 0.5000  2 As 1.94, 1 Rh 2.05
O 0.2083 0.5000 0.0000  1 As 1.85, 2 Rh 2.02
O 0.2917 0.0000 0.0000  1 As 1.85, 2 Rh 2.02
O 0.5000 0.3152 0.5000  2 As 1.94, 1 Rh 2.05
O 0.5000 0.6848 0.5000  2 As 1.94, 1 Rh 2.05
O 0.7083 0.0000 0.0000  1 As 1.85, 2 Rh 2.02
O 0.7917 0.5000 0.0000  1 As 1.85, 2 Rh 2.02

Record 14
AsRhO4 | PBE-GGA | relaxed

Unit cell a=5.4760 b=5.4760 c=5.4760 alpha=107.80 beta=107.80 gamma=112.87
Last column: nearest neighbours and their distance in Å.
Atoms (fractional coordinates):
As 0.0000 0.0000 0.0000  6 O 1.85-1.99
As 0.7500 0.2500 0.5000  6 O 1.85-1.99
Rh 0.2399 0.7399 0.5000  6 O 1.99-2.06
Rh 0.4899 0.4899 0.0000  6 O 1.99-2.06
O 0.1696 0.4808 0.6888  1 As 1.85, 2 Rh 1.99-2.01
O 0.2308 0.0420 0.8112  1 As 1.85, 2 Rh 1.99-2.01
O 0.2308 0.4196 0.1888  1 As 1.85, 2 Rh 1.99-2.01
O 0.3197 0.0112 0.3085  2 As 1.90-1.99, 1 Rh 2.06
O 0.7027 0.0112 0.6915  2 As 1.90-1.99, 1 Rh 2.06
O 0.7612 0.5697 0.8085  2 As 1.90-1.99, 1 Rh 2.06
O 0.7612 0.9527 0.1915  2 As 1.90-1.99, 1 Rh 2.06
O 0.7920 0.4808 0.3112  1 As 1.85, 2 Rh 1.99-2.01

Q: Which VASP energy values were calculated for the entries above? A: -5.540; -6.600; -5.400; -5.824; -7.190; -7.206; -4.160; -5.045; -2.913; -3.785; -2.984; -6.581; -6.201; -6.231, in eV per atom.